{"formula": "Nd2HfS5", "functional": "meta-GGA r2SCAN", "state": "optimized geometry", "cell": [[-2.798, 2.212, 6.447], [3.952, -5.867, 3.728], [9.049, 7.055, 1.508]], "species": ["Nd", "Hf", "Nd", "S", "S", "Nd", "S", "Nd", "S", "Hf", "S", "S", "S", "S", "S", "S", "Nd", "S", "S", "S", "S", "Nd", "S", "S", "S", "S", "S", "S", "Nd", "Hf", "Hf", "Nd"], "frac_coords": [[0.040, 0.999, 0.175], [0.428, 0.750, 0.993], [0.040, 0.501, 0.175], [0.058, 0.750, 0.995], [0.333, 0.466, 0.917], [0.460, 0.501, 0.675], [0.167, 0.466, 0.417], [0.540, 0.499, 0.325], [0.153, 0.250, 0.684], [0.928, 0.250, 0.507], [0.558, 0.250, 0.505], [0.327, 0.750, 0.206], [0.347, 0.250, 0.184], [0.942, 0.250, 0.005], [0.667, 0.534, 0.083], [0.167, 0.034, 0.417], [0.540, 0.001, 0.325], [0.442, 0.750, 0.495], [0.847, 0.750, 0.316], [0.833, 0.966, 0.583], [0.667, 0.966, 0.083], [0.960, 0.001, 0.825], [0.673, 0.250, 0.794], [0.827, 0.250, 0.294], [0.173, 0.750, 0.706], [0.833, 0.534, 0.583], [0.333, 0.034, 0.917], [0.653, 0.750, 0.816], [0.960, 0.499, 0.825], [0.572, 0.250, 0.007], [0.072, 0.750, 0.493], [0.460, 0.999, 0.675]], "crystal_system": "orthorhombic", "energy_ev_per_atom": -20.2070, "spacegroup": "Pnma (62)", "delta_e_f_mev_per_atom": -2187, "total_magnetization_mub_per_fu": 0.0}


{"formula": "Hf7Ni10", "functional": "meta-GGA r2SCAN", "state": "optimized geometry", "cell": [[4.506, -6.091, 0.000], [4.506, 6.091, 0.000], [0.000, 0.000, 9.033]], "species": ["Ni", "Ni", "Hf", "Ni", "Ni", "Ni", "Ni", "Ni", "Hf", "Ni", "Ni", "Hf", "Ni", "Ni", "Hf", "Hf", "Hf", "Hf", "Hf", "Ni", "Hf", "Ni", "Ni", "Ni", "Hf", "Hf", "Ni", "Hf", "Hf", "Ni", "Hf", "Ni", "Ni", "Ni"], "frac_coords": [[0.366, 0.654, 0.291], [0.107, 0.107, 0.395], [0.000, 0.000, 0.000], [0.647, 0.936, 0.007], [0.853, 0.564, 0.507], [0.346, 0.634, 0.709], [0.654, 0.366, 0.291], [0.893, 0.893, 0.605], [0.500, 0.500, 0.500], [0.393, 0.393, 0.895], [0.936, 0.647, 0.007], [0.307, 0.693, 0.000], [0.846, 0.134, 0.791], [0.436, 0.147, 0.493], [0.807, 0.193, 0.500], [0.505, 0.005, 0.250], [0.005, 0.505, 0.250], [0.193, 0.807, 0.500], [0.686, 0.686, 0.813], [0.134, 0.846, 0.791], [0.995, 0.495, 0.750], [0.353, 0.064, 0.993], [0.634, 0.346, 0.709], [0.866, 0.154, 0.209], [0.495, 0.995, 0.750], [0.693, 0.307, 0.000], [0.564, 0.853, 0.507], [0.314, 0.314, 0.187], [0.814, 0.814, 0.313], [0.607, 0.607, 0.105], [0.186, 0.186, 0.687], [0.154, 0.866, 0.209], [0.064, 0.353, 0.993], [0.147, 0.436, 0.493]], "crystal_system": "orthorhombic", "energy_ev_per_atom": -26.1392, "spacegroup": "Cmce (64)", "delta_e_f_mev_per_atom": -499, "total_magnetization_mub_per_fu": 0.0}


{"formula": "HfNi5", "functional": "meta-GGA r2SCAN", "state": "optimized geometry", "cell": [[0.000, 3.298, 3.298], [3.298, 0.000, 3.298], [3.298, 3.298, 0.000]], "species": ["Ni", "Ni", "Ni", "Ni", "Ni", "Hf"], "frac_coords": [[0.250, 0.250, 0.250], [0.624, 0.624, 0.128], [0.624, 0.128, 0.624], [0.128, 0.624, 0.624], [0.624, 0.624, 0.624], [0.000, 0.000, 0.000]], "crystal_system": "cubic", "energy_ev_per_atom": -17.8274, "spacegroup": "F-43m (216)", "delta_e_f_mev_per_atom": -317, "total_magnetization_mub_per_fu": 0.3}


{"formula": "Hf2Ni", "functional": "meta-GGA r2SCAN", "state": "optimized geometry", "cell": [[1.502, 2.806, 4.158], [-2.706, -0.240, 4.435], [3.318, -2.018, 3.460]], "species": ["Hf", "Ni", "Hf", "Hf", "Hf", "Ni"], "frac_coords": [[0.334, 0.831, 0.500], [0.750, 0.000, 0.000], [0.166, 0.500, 0.169], [0.666, 0.169, 0.500], [0.834, 0.500, 0.831], [0.250, 0.000, 0.000]], "crystal_system": "tetragonal", "energy_ev_per_atom": -34.4260, "spacegroup": "I4/mcm (140)", "delta_e_f_mev_per_atom": -331, "total_magnetization_mub_per_fu": 0.0}


{"formula": "HfNi2", "functional": "meta-GGA r2SCAN", "state": "optimized geometry", "cell": [[4.196, 0.000, 2.423], [1.399, 3.956, 2.423], [0.000, 0.000, 4.845]], "species": ["Ni", "Ni", "Hf", "Ni", "Ni", "Hf"], "frac_coords": [[0.500, 0.500, 0.500], [0.500, 0.000, 0.500], [0.125, 0.125, 0.125], [0.000, 0.500, 0.500], [0.500, 0.500, 0.000], [0.875, 0.875, 0.875]], "crystal_system": "cubic", "energy_ev_per_atom": -23.5074, "spacegroup": "Fd-3m (227)", "delta_e_f_mev_per_atom": -469, "total_magnetization_mub_per_fu": 0.0}


{"formula": "HfNiP", "functional": "meta-GGA r2SCAN", "state": "optimized geometry", "cell": [[3.679, 0.000, 0.000], [0.000, 6.275, 0.000], [0.000, 0.000, 7.091]], "species": ["Ni", "Ni", "P", "Ni", "Hf", "Hf", "P", "P", "P", "Ni", "Hf", "Hf"], "frac_coords": [[0.250, 0.656, 0.068], [0.750, 0.344, 0.932], [0.750, 0.221, 0.611], [0.750, 0.844, 0.568], [0.750, 0.981, 0.183], [0.250, 0.019, 0.817], [0.250, 0.279, 0.111], [0.250, 0.779, 0.389], [0.750, 0.721, 0.889], [0.250, 0.156, 0.432], [0.250, 0.519, 0.683], [0.750, 0.481, 0.317]], "crystal_system": "orthorhombic", "energy_ev_per_atom": -23.1552, "spacegroup": "Pnma (62)", "delta_e_f_mev_per_atom": -1110, "total_magnetization_mub_per_fu": 0.0}


{"formula": "HfNi4P2", "functional": "meta-GGA r2SCAN", "state": "optimized geometry", "cell": [[0.000, 0.000, 3.522], [6.871, 0.000, 0.000], [0.000, 6.871, 0.000]], "species": ["Ni", "Ni", "P", "Hf", "P", "Hf", "P", "Ni", "Ni", "Ni", "P", "Ni", "Ni", "Ni"], "frac_coords": [[0.500, 0.417, 0.832], [0.500, 0.583, 0.168], [0.000, 0.781, 0.219], [0.500, 0.000, 0.000], [0.000, 0.219, 0.781], [0.000, 0.500, 0.500], [0.500, 0.719, 0.719], [0.500, 0.832, 0.417], [0.000, 0.668, 0.917], [0.000, 0.332, 0.083], [0.500, 0.281, 0.281], [0.000, 0.917, 0.668], [0.500, 0.168, 0.583], [0.000, 0.083, 0.332]], "crystal_system": "tetragonal", "energy_ev_per_atom": -16.6600, "spacegroup": "P4_2/mnm (136)", "delta_e_f_mev_per_atom": -791, "total_magnetization_mub_per_fu": 0.0}


{"formula": "Hf3Ni3Sb4", "functional": "meta-GGA r2SCAN", "state": "optimized geometry", "cell": [[-4.516, 4.516, 4.516], [4.516, -4.516, 4.516], [4.516, 4.516, -4.516]], "species": ["Sb", "Hf", "Hf", "Hf", "Sb", "Sb", "Ni", "Hf", "Ni", "Ni", "Ni", "Sb", "Hf", "Sb", "Sb", "Sb", "Ni", "Ni", "Hf", "Sb"], "frac_coords": [[0.164, 0.164, 0.164], [0.875, 0.125, 0.750], [0.250, 0.625, 0.375], [0.625, 0.375, 0.250], [0.000, 0.336, 0.500], [0.336, 0.500, 0.000], [0.125, 0.875, 0.250], [0.375, 0.250, 0.625], [0.750, 0.375, 0.625], [0.625, 0.750, 0.375], [0.875, 0.250, 0.125], [0.836, 0.500, 0.000], [0.750, 0.875, 0.125], [0.000, 0.836, 0.500], [0.500, 0.000, 0.836], [0.500, 0.000, 0.336], [0.250, 0.125, 0.875], [0.375, 0.625, 0.750], [0.125, 0.750, 0.875], [0.664, 0.664, 0.664]], "crystal_system": "cubic", "energy_ev_per_atom": -28.0226, "spacegroup": "I-43d (220)", "delta_e_f_mev_per_atom": -600, "total_magnetization_mub_per_fu": 0.0}


{"formula": "Hf6NiSb2", "functional": "meta-GGA r2SCAN", "state": "optimized geometry", "cell": [[-1.619, -4.837, -5.711], [7.280, 1.207, 2.047], [-0.214, -2.722, 2.367]], "species": ["Hf", "Hf", "Hf", "Hf", "Sb", "Sb", "Ni", "Hf", "Hf"], "frac_coords": [[0.000, 0.761, 0.500], [0.239, 0.239, 0.500], [0.602, 0.602, 0.000], [0.000, 0.398, 0.000], [0.333, 0.667, 0.500], [0.667, 0.333, 0.500], [0.000, 0.000, 0.000], [0.761, 0.000, 0.500], [0.398, 0.000, 0.000]], "crystal_system": "hexagonal", "energy_ev_per_atom": -37.6943, "spacegroup": "P-62m (189)", "delta_e_f_mev_per_atom": -550, "total_magnetization_mub_per_fu": 0.0}


{"formula": "Hf2Si4Ni3", "functional": "meta-GGA r2SCAN", "state": "optimized geometry", "cell": [[4.812, 0.000, -1.825], [0.000, 6.826, 0.000], [0.000, 0.000, 7.256]], "species": ["Si", "Si", "Si", "Ni", "Hf", "Si", "Si", "Ni", "Hf", "Hf", "Si", "Ni", "Hf", "Ni", "Ni", "Si", "Ni", "Si"], "frac_coords": [[0.312, 0.750, 0.124], [0.319, 0.522, 0.637], [0.681, 0.478, 0.363], [0.479, 0.750, 0.459], [0.896, 0.598, 0.792], [0.181, 0.022, 0.363], [0.688, 0.250, 0.876], [0.500, 0.500, 0.000], [0.604, 0.098, 0.208], [0.104, 0.402, 0.208], [0.188, 0.250, 0.876], [0.000, 0.000, 0.000], [0.396, 0.902, 0.792], [0.521, 0.250, 0.541], [0.021, 0.250, 0.541], [0.819, 0.978, 0.637], [0.979, 0.750, 0.459], [0.812, 0.750, 0.124]], "crystal_system": "orthorhombic", "energy_ev_per_atom": -18.6843, "spacegroup": "Cmce (64)", "delta_e_f_mev_per_atom": -757, "total_magnetization_mub_per_fu": 0.0}


{"formula": "HfSi2Ni2", "functional": "meta-GGA r2SCAN", "state": "optimized geometry", "cell": [[3.500, 0.000, -1.265], [-0.457, 3.470, -1.265], [0.001, 0.001, 5.477]], "species": ["Ni", "Si", "Ni", "Hf", "Si"], "frac_coords": [[0.250, 0.750, 0.500], [0.619, 0.619, 0.239], [0.750, 0.250, 0.500], [0.000, 0.000, 0.000], [0.381, 0.381, 0.761]], "crystal_system": "tetragonal", "energy_ev_per_atom": -18.1059, "spacegroup": "I4/mmm (139)", "delta_e_f_mev_per_atom": -773, "total_magnetization_mub_per_fu": 0.0}


{"formula": "Hf2TcNi", "functional": "meta-GGA r2SCAN", "state": "optimized geometry", "cell": [[-0.014, -4.442, -0.902], [-2.891, -1.682, -3.059], [1.543, -1.508, -3.986]], "species": ["Hf", "Ni", "Tc", "Hf"], "frac_coords": [[0.250, 0.250, 0.250], [0.500, 0.500, 0.500], [0.000, 0.000, 0.000], [0.750, 0.750, 0.750]], "crystal_system": "cubic", "energy_ev_per_atom": -32.5734, "spacegroup": "Fm-3m (225)", "delta_e_f_mev_per_atom": -511, "total_magnetization_mub_per_fu": 0.0}